{
  "formula": "SrMoO2",
  "functional": "GGA+U",
  "state": "optimized geometry",
  "lattice": [[-3.319, 3.319, 5.992], [3.319, -3.319, 5.992], [3.319, 3.319, -5.992]],
  "species": ["Sr", "Sr", "Sr", "Sr", "Mo", "Mo", "Mo", "Mo", "O", "O", "O", "O", "O", "O", "O", "O"],
  "frac_coords": [[0.875, 0.625, 0.250], [0.375, 0.625, 0.750], [0.375, 0.625, 0.250], [0.375, 0.125, 0.750], [0.375, 0.125, 0.250], [0.875, 0.125, 0.750], [0.875, 0.125, 0.250], [0.875, 0.625, 0.750], [0.158, 0.376, 0.218], [0.158, 0.940, 0.782], [0.126, 0.408, 0.718], [0.592, 0.874, 0.282], [0.690, 0.408, 0.282], [0.592, 0.310, 0.718], [0.624, 0.842, 0.782], [0.060, 0.842, 0.218]],
  "total_energy_ev_per_cell": -103.36,
  "e_form_ev_per_atom": -2.00,
  "volume_a3_per_fu": 66.0,
  "magmom_total_mub_per_fu": 4.0
}

***

{
  "formula": "Ta2MoO8",
  "functional": "GGA+U",
  "state": "optimized geometry",
  "lattice": [[3.056, 9.985, 0.000], [-3.056, 9.985, 0.000], [0.000, 0.072, 5.146]],
  "species": ["Ta", "Ta", "Ta", "Ta", "Mo", "Mo", "O", "O", "O", "O", "O", "O", "O", "O", "O", "O", "O", "O", "O", "O", "O", "O"],
  "frac_coords": [[0.686, 0.049, 0.249], [0.951, 0.314, 0.251], [0.314, 0.951, 0.751], [0.049, 0.686, 0.749], [0.340, 0.660, 0.250], [0.660, 0.340, 0.750], [0.783, 0.102, 0.920], [0.898, 0.217, 0.580], [0.217, 0.898, 0.080], [0.102, 0.783, 0.420], [0.564, 0.331, 0.431], [0.669, 0.436, 0.069], [0.436, 0.669, 0.569], [0.331, 0.564, 0.931], [0.760, 0.916, 0.577], [0.084, 0.240, 0.923], [0.204, 0.424, 0.646], [0.576, 0.796, 0.854], [0.796, 0.576, 0.354], [0.424, 0.204, 0.146], [0.916, 0.760, 0.077], [0.240, 0.084, 0.423]],
  "total_energy_ev_per_cell": -187.12,
  "e_form_ev_per_atom": -2.56,
  "volume_a3_per_fu": 157.0,
  "magmom_total_mub_per_fu": 0.0
}

***

{
  "formula": "TaZn2MoO6",
  "functional": "GGA+U",
  "state": "optimized geometry",
  "lattice": [[7.858, 0.000, 0.000], [0.000, 5.391, 0.000], [0.000, 0.159, 5.400]],
  "species": ["Ta", "Ta", "Zn", "Zn", "Zn", "Zn", "Mo", "Mo", "O", "O", "O", "O", "O", "O", "O", "O", "O", "O", "O", "O"],
  "frac_coords": [[0.000, 0.500, 0.000], [0.500, 0.500, 0.000], [0.250, 0.985, 0.980], [0.250, 0.469, 0.506], [0.750, 0.531, 0.494], [0.750, 0.015, 0.020], [0.000, 0.000, 0.500], [0.500, 0.000, 0.500], [0.567, 0.819, 0.847], [0.434, 0.661, 0.313], [0.433, 0.181, 0.153], [0.934, 0.339, 0.687], [0.750, 0.424, 0.121], [0.566, 0.339, 0.687], [0.066, 0.661, 0.313], [0.933, 0.819, 0.847], [0.250, 0.103, 0.623], [0.067, 0.181, 0.153], [0.750, 0.897, 0.377], [0.250, 0.576, 0.879]],
  "total_energy_ev_per_cell": -140.69,
  "e_form_ev_per_atom": -2.28,
  "volume_a3_per_fu": 114.4,
  "magmom_total_mub_per_fu": 3.0
}

***

{
  "formula": "TbMoO5",
  "functional": "GGA+U",
  "state": "optimized geometry",
  "lattice": [[12.586, 0.000, 0.000], [0.000, 5.416, 0.000], [0.000, 3.154, 6.217]],
  "species": ["Tb", "Tb", "Tb", "Tb", "Mo", "Mo", "Mo", "Mo", "O", "O", "O", "O", "O", "O", "O", "O", "O", "O", "O", "O", "O", "O", "O", "O", "O", "O", "O", "O"],
  "frac_coords": [[0.057, 0.656, 0.716], [0.943, 0.344, 0.284], [0.557, 0.344, 0.784], [0.443, 0.656, 0.216], [0.364, 0.917, 0.643], [0.636, 0.083, 0.357], [0.864, 0.083, 0.857], [0.136, 0.917, 0.143], [0.444, 0.464, 0.983], [0.556, 0.536, 0.017], [0.944, 0.536, 0.517], [0.056, 0.464, 0.483], [0.926, 0.988, 0.659], [0.074, 0.012, 0.341], [0.426, 0.012, 0.841], [0.574, 0.988, 0.159], [0.439, 0.704, 0.542], [0.561, 0.296, 0.458], [0.939, 0.296, 0.958], [0.061, 0.704, 0.042], [0.233, 0.787, 0.722], [0.767, 0.213, 0.278], [0.733, 0.213, 0.778], [0.267, 0.787, 0.222], [0.655, 0.762, 0.585], [0.345, 0.238, 0.415], [0.155, 0.238, 0.915], [0.845, 0.762, 0.085]],
  "total_energy_ev_per_cell": -208.29,
  "e_form_ev_per_atom": -2.48,
  "volume_a3_per_fu": 105.9,
  "magmom_total_mub_per_fu": 0.0
}

***

Which formula does entry 1 have?
SrMoO2

***

Repeat the fourth record exactly.
{
  "formula": "TbMoO5",
  "functional": "GGA+U",
  "state": "optimized geometry",
  "lattice": [[12.586, 0.000, 0.000], [0.000, 5.416, 0.000], [0.000, 3.154, 6.217]],
  "species": ["Tb", "Tb", "Tb", "Tb", "Mo", "Mo", "Mo", "Mo", "O", "O", "O", "O", "O", "O", "O", "O", "O", "O", "O", "O", "O", "O", "O", "O", "O", "O", "O", "O"],
  "frac_coords": [[0.057, 0.656, 0.716], [0.943, 0.344, 0.284], [0.557, 0.344, 0.784], [0.443, 0.656, 0.216], [0.364, 0.917, 0.643], [0.636, 0.083, 0.357], [0.864, 0.083, 0.857], [0.136, 0.917, 0.143], [0.444, 0.464, 0.983], [0.556, 0.536, 0.017], [0.944, 0.536, 0.517], [0.056, 0.464, 0.483], [0.926, 0.988, 0.659], [0.074, 0.012, 0.341], [0.426, 0.012, 0.841], [0.574, 0.988, 0.159], [0.439, 0.704, 0.542], [0.561, 0.296, 0.458], [0.939, 0.296, 0.958], [0.061, 0.704, 0.042], [0.233, 0.787, 0.722], [0.767, 0.213, 0.278], [0.733, 0.213, 0.778], [0.267, 0.787, 0.222], [0.655, 0.762, 0.585], [0.345, 0.238, 0.415], [0.155, 0.238, 0.915], [0.845, 0.762, 0.085]],
  "total_energy_ev_per_cell": -208.29,
  "e_form_ev_per_atom": -2.48,
  "volume_a3_per_fu": 105.9,
  "magmom_total_mub_per_fu": 0.0
}